The following is a DFT calculation (GGA-PBE) of MnH6N2Cl2 after structural relaxation.

Structure (CIF):
```
data_MnH6N2Cl2
_space_group_name_H-M_alt 'C 1 2 1'
_space_group_IT_number 5
_cell_length_a 8.273
_cell_length_b 8.307
_cell_length_c 3.829
_cell_angle_alpha 90.00
_cell_angle_beta 91.86
_cell_angle_gamma 90.00
loop_
_space_group_symop_operation_xyz
'x,y,z'
'-x,y,-z'
'x+1/2,y+1/2,z'
'-x+1/2,y+1/2,-z'
loop_
_atom_site_label
_atom_site_fract_x
_atom_site_fract_y
_atom_site_fract_z
Mn1 0.000 0.000 0.000
H1 0.180 0.465 0.197
H2 0.180 0.594 0.874
H3 0.199 0.401 0.798
N1 0.234 0.491 0.967
Cl1 0.000 0.216 0.500
Cl2 0.000 0.783 0.500
```

Values from the calculation:
The calculation puts the formation energy at -0.7213 eV/atom. The calculation puts the electronic total energy at -5.14 eV per atom.